This record from Materials Project describes a geometry-optimized LaSiO3F structure. The functional is GGA-PBE.

a = 7.1291 Å, b = 7.1291 Å, c = 10.9906 Å
α = 90.00°, β = 90.00°, γ = 120.00°
Closest atoms and distances in Å follow each position.
Fractional coordinates of all 36 atoms:
La 0.6432 0.0000 0.0000  3 F 2.43-2.54, 4 O 2.49-2.54
La 0.3568 0.3568 0.5000  3 F 2.43-2.54, 4 O 2.49-2.54
La 0.0000 0.6432 0.5000  3 F 2.43-2.54, 4 O 2.49-2.54
La 0.0000 0.6432 0.0000  3 F 2.43-2.54, 4 O 2.49-2.54
La 0.3568 0.3568 0.0000  3 F 2.43-2.54, 4 O 2.49-2.54
La 0.6432 0.0000 0.5000  3 F 2.43-2.54, 4 O 2.49-2.54
Si 0.2722 0.0470 0.2500  4 O 1.61-1.70
Si 0.7748 0.7278 0.2500  4 O 1.61-1.70
Si 0.9530 0.2252 0.2500  4 O 1.61-1.70
Si 0.2252 0.9530 0.7500  4 O 1.61-1.70
Si 0.7278 0.7748 0.7500  4 O 1.61-1.70
Si 0.0470 0.2722 0.7500  4 O 1.61-1.70
O 0.1948 0.2366 0.2500  2 Si 1.68-1.70
O 0.0418 0.8052 0.2500  2 Si 1.68-1.70
O 0.7634 0.9582 0.2500  2 Si 1.68-1.70
O 0.9582 0.7634 0.7500  2 Si 1.68-1.70
O 0.8052 0.0418 0.7500  2 Si 1.68-1.70
O 0.2366 0.1948 0.7500  2 Si 1.68-1.70
O 0.3966 0.0777 0.1229  1 Si 1.61
O 0.6811 0.6034 0.3771  1 Si 1.61
O 0.9223 0.3189 0.3771  1 Si 1.61
O 0.9223 0.3189 0.1229  1 Si 1.61
O 0.6811 0.6034 0.1229  1 Si 1.61
O 0.3189 0.9223 0.8771  1 Si 1.61
O 0.6034 0.6811 0.8771  1 Si 1.61
O 0.0777 0.3966 0.8771  1 Si 1.61
O 0.3966 0.0777 0.3771  1 Si 1.61
O 0.0777 0.3966 0.6229  1 Si 1.61
O 0.3189 0.9223 0.6229  1 Si 1.61
O 0.6034 0.6811 0.6229  1 Si 1.61
F 0.0000 0.0000 0.0000  3 La 2.54
F 0.0000 0.0000 0.5000  3 La 2.54
F 0.3333 0.6667 0.0734  3 La 2.43
F 0.3333 0.6667 0.4266  3 La 2.43
F 0.6667 0.3333 0.9266  3 La 2.43
F 0.6667 0.3333 0.5734  3 La 2.43

Output
energy of formation = -3.78 eV per atom
space group = No. 190
crystal system = hexagonal

---

This record from Materials Project describes a geometry-optimized LaTh4OF19 structure. The functional is GGA-PBE.

a = 8.2652 Å, b = 7.3559 Å, c = 12.2383 Å
α = 72.65°, β = 90.00°, γ = 90.00°
Closest atoms and distances in Å follow each position.
Fractional coordinates of all 50 atoms:
La 0.2500 0.2956 0.3841  8 F 2.36-2.60
La 0.7500 0.7044 0.6159  8 F 2.36-2.60
Th 0.7500 0.6527 0.9988  8 F 2.31-2.42
Th 0.2500 0.3473 0.0012  8 F 2.31-2.42
Th 0.0003 0.8631 0.2734  9 F 2.30-2.47
Th 0.4997 0.8631 0.2734  9 F 2.30-2.47
Th 0.9997 0.1369 0.7266  9 F 2.30-2.47
Th 0.5003 0.1369 0.7266  9 F 2.30-2.47
Th 0.7500 0.3192 0.3851  7 F 2.28-2.52
Th 0.2500 0.6808 0.6149  7 F 2.28-2.52
O 0.2500 0.7209 0.0000  6 F 2.63-2.87, 1 Th 2.74
O 0.7500 0.2791 0.0000  6 F 2.63-2.87, 1 Th 2.74
F 0.2500 0.9730 0.3396  2 Th 2.44, 4 F 2.48-2.60, 1 La 2.59
F 0.7500 0.6848 0.3407  3 Th 2.46-2.58, 4 F 2.48-2.58
F 0.7500 0.0270 0.6604  2 Th 2.44, 4 F 2.48-2.60, 1 La 2.59
F 0.2500 0.3152 0.6593  3 Th 2.46-2.58, 4 F 2.48-2.58
F 0.2500 0.5648 0.4599  1 Th 2.30, 1 La 2.42, 2 F 2.55
F 0.7500 0.9932 0.4546  1 Th 2.29, 1 La 2.43, 2 F 2.57
F 0.7500 0.4352 0.5401  1 Th 2.30, 1 La 2.42, 2 F 2.55
F 0.2500 0.0068 0.5454  1 Th 2.29, 1 La 2.43, 2 F 2.57
F 0.2500 0.7567 0.2183  2 Th 2.38, 1 F 2.48
F 0.7500 0.0217 0.2183  2 Th 2.37, 1 F 2.48
F 0.7500 0.2433 0.7817  2 Th 2.38, 1 F 2.48
F 0.2500 0.9783 0.7817  2 Th 2.37, 1 F 2.48
F 0.9166 0.7749 0.1171  2 Th 2.30-2.36
F 0.0827 0.1066 0.1171  2 Th 2.30-2.36
F 0.5834 0.7749 0.1171  2 Th 2.30-2.36
F 0.4173 0.1066 0.1171  2 Th 2.30-2.36
F 0.0834 0.2251 0.8829  2 Th 2.30-2.36
F 0.9173 0.8934 0.8829  2 Th 2.30-2.36
F 0.4166 0.2251 0.8829  2 Th 2.30-2.36
F 0.5827 0.8934 0.8829  2 Th 2.30-2.36
F 0.9962 0.2364 0.5231  2 Th 2.38-2.60, 4 F 2.55-2.66, 1 La 2.65
F 0.5038 0.2364 0.5231  2 Th 2.38-2.60, 4 F 2.55-2.66, 1 La 2.65
F 0.0038 0.7636 0.4769  2 Th 2.38-2.60, 4 F 2.55-2.66, 1 La 2.65
F 0.4962 0.7636 0.4769  2 Th 2.38-2.60, 4 F 2.55-2.66, 1 La 2.65
F 0.0000 0.5000 0.0000  2 Th 2.35, 2 O 2.63
F 0.5000 0.5000 0.0000  2 Th 2.35, 2 O 2.63
F 0.7500 0.6177 0.8177  1 Th 2.31, 1 La 2.36
F 0.2500 0.5691 0.8097  2 Th 2.28-2.42
F 0.2500 0.3823 0.1823  1 Th 2.31, 1 La 2.36
F 0.7500 0.4309 0.1903  2 Th 2.28-2.42
F 0.0047 0.5133 0.3276  2 Th 2.46-2.52, 4 F 2.48-2.69, 1 La 2.55
F 0.9839 0.1614 0.3257  2 Th 2.47, 5 F 2.57-2.71, 1 La 2.60
F 0.4953 0.5133 0.3276  2 Th 2.46-2.52, 4 F 2.48-2.69, 1 La 2.55
F 0.5161 0.1614 0.3257  2 Th 2.47, 5 F 2.57-2.71, 1 La 2.60
F 0.9953 0.4867 0.6724  2 Th 2.46-2.52, 4 F 2.48-2.69, 1 La 2.55
F 0.0161 0.8386 0.6743  2 Th 2.47, 5 F 2.57-2.71, 1 La 2.60
F 0.5047 0.4867 0.6724  2 Th 2.46-2.52, 4 F 2.48-2.69, 1 La 2.55
F 0.4839 0.8386 0.6743  2 Th 2.47, 5 F 2.57-2.71, 1 La 2.60

Output
energy of formation = -4.21 eV per atom
space group = No. 11
crystal system = monoclinic

---

This record from Materials Project describes a geometry-optimized Rb2LaF5 structure. The functional is GGA-PBE.

a = 7.0929 Å, b = 7.8843 Å, c = 11.6700 Å
α = 90.00°, β = 90.00°, γ = 90.00°
Closest atoms and distances in Å follow each position.
Fractional coordinates of all 32 atoms:
Rb 0.5331 0.0238 0.1706  8 F 2.86-3.06
Rb 0.4669 0.5238 0.8294  8 F 2.86-3.06
Rb 0.9669 0.0238 0.6706  8 F 2.86-3.06
Rb 0.0331 0.5238 0.3294  8 F 2.86-3.06
Rb 0.0290 0.0174 0.3288  8 F 2.87-3.15
Rb 0.9710 0.5174 0.6712  8 F 2.87-3.15
Rb 0.4710 0.0174 0.8288  8 F 2.87-3.15
Rb 0.5290 0.5174 0.1712  8 F 2.87-3.15
La 0.4362 0.2690 0.5016  7 F 2.34-2.47
La 0.5638 0.7690 0.4984  7 F 2.34-2.47
La 0.0638 0.2690 0.0016  7 F 2.34-2.47
La 0.9362 0.7690 0.9984  7 F 2.34-2.47
F 0.1462 0.9860 0.0762  2 La 2.44-2.47
F 0.8538 0.4860 0.9238  2 La 2.44-2.47
F 0.3538 0.9860 0.5762  2 La 2.44-2.47
F 0.6462 0.4860 0.4238  2 La 2.44-2.47
F 0.3949 0.2692 0.0109  1 La 2.35
F 0.6051 0.7692 0.9891  1 La 2.35
F 0.1051 0.2692 0.5109  1 La 2.35
F 0.8949 0.7692 0.4891  1 La 2.35
F 0.1451 0.5517 0.0773  2 La 2.44-2.47
F 0.8549 0.0517 0.9227  2 La 2.44-2.47
F 0.3549 0.5517 0.5773  2 La 2.44-2.47
F 0.6451 0.0517 0.4227  2 La 2.44-2.47
F 0.3369 0.2682 0.3078  1 La 2.37
F 0.6631 0.7682 0.6922  1 La 2.37
F 0.1631 0.2682 0.8078  1 La 2.37
F 0.8369 0.7682 0.1922  1 La 2.37
F 0.3707 0.7617 0.3358  1 La 2.34
F 0.6293 0.2617 0.6642  1 La 2.34
F 0.1293 0.7617 0.8358  1 La 2.34
F 0.8707 0.2617 0.1642  1 La 2.34

Output
energy of formation = -3.74 eV per atom
space group = No. 33
crystal system = orthorhombic

---

This record from Materials Project describes a geometry-optimized SrLa5F17 structure. The functional is GGA-PBE.

a = 7.2037 Å, b = 7.2691 Å, c = 7.3639 Å
α = 89.80°, β = 90.60°, γ = 119.46°
Closest atoms and distances in Å follow each position.
Fractional coordinates of all 23 atoms:
Sr 0.0041 0.3397 0.2771  8 F 2.49-2.73
La 0.6438 0.9785 0.7434  7 F 2.36-2.57
La 0.6650 0.6618 0.2437  7 F 2.39-2.65
La 0.3414 0.0007 0.2435  8 F 2.40-2.66
La 0.3510 0.3392 0.7501  8 F 2.35-2.62
La 0.0038 0.6826 0.7484  8 F 2.37-2.65
F 0.6796 0.0428 0.4278  1 La 2.36, 1 Sr 2.54, 1 F 2.64
F 0.9509 0.6402 0.4271  2 La 2.39-2.52, 1 Sr 2.64, 1 F 2.65
F 0.6574 0.3333 0.1929  2 La 2.39-2.40, 1 Sr 2.55, 1 F 2.67
F 0.6884 0.3312 0.7573  3 La 2.42-2.46, 3 F 2.63-2.66
F 0.9968 0.0123 0.7597  3 La 2.42-2.49, 2 F 2.59-2.68
F 0.6851 0.6549 0.9177  3 La 2.41-2.67, 3 F 2.49-2.68
F 0.3419 0.0302 0.9171  2 La 2.41-2.53, 3 F 2.50-2.68
F 0.6412 0.6770 0.5834  3 La 2.48-2.62, 5 F 2.49-2.78
F 0.3639 0.3138 0.4229  2 La 2.42-2.57, 3 F 2.67-2.68
F 0.6567 0.9757 0.0674  2 La 2.39-2.65
F 0.2953 0.3570 0.0621  1 La 2.35, 1 Sr 2.59
F 0.0013 0.9888 0.2505  2 La 2.41-2.42, 1 Sr 2.55
F 0.3269 0.6616 0.8066  3 La 2.36-2.47, 1 F 2.54
F 0.3475 0.6782 0.3041  2 La 2.39-2.41, 1 Sr 2.49
F 0.0378 0.3589 0.6235  2 La 2.50-2.65, 3 F 2.54-2.63, 1 Sr 2.56
F 0.3181 0.9622 0.5827  5 F 2.50-2.77, 3 La 2.50-2.57
F 0.0397 0.6657 0.0678  1 La 2.37

Output
energy of formation = -4.43 eV per atom
space group = No. 1
crystal system = triclinic

---

This record from Materials Project describes a geometry-optimized LaZr2F11 structure. The functional is GGA-PBE.

a = 8.5749 Å, b = 8.5749 Å, c = 8.5749 Å
α = 125.18°, β = 106.78°, γ = 97.77°
Closest atoms and distances in Å follow each position.
Fractional coordinates of all 28 atoms:
La 0.7500 0.7500 0.0000  8 F 2.43-2.45
La 0.2500 0.2500 0.0000  8 F 2.43-2.45
Zr 0.6809 0.1329 0.8138  7 F 2.06-2.13
Zr 0.3191 0.8671 0.1862  7 F 2.06-2.13
Zr 0.1809 0.3671 0.5480  7 F 2.06-2.13
Zr 0.8191 0.6329 0.4520  7 F 2.06-2.13
F 0.5000 0.0000 0.5000  2 Zr 2.13
F 0.0000 0.5000 0.5000  2 Zr 2.13
F 0.7808 0.3699 0.1507  2 Zr 2.11-2.13
F 0.2192 0.6301 0.8493  2 Zr 2.11-2.13
F 0.2808 0.1301 0.4108  2 Zr 2.11-2.13
F 0.7192 0.8699 0.5892  2 Zr 2.11-2.13
F 0.7059 0.3921 0.8415  1 Zr 2.07
F 0.5506 0.8644 0.1585  1 Zr 2.07
F 0.9494 0.1079 0.3138  1 Zr 2.07
F 0.7941 0.6356 0.6862  1 Zr 2.07
F 0.2941 0.6079 0.1585  1 Zr 2.07
F 0.4494 0.1356 0.8415  1 Zr 2.07
F 0.0506 0.8921 0.6862  1 Zr 2.07
F 0.2059 0.3644 0.3138  1 Zr 2.07
F 0.9500 0.2371 0.9172  1 Zr 2.06
F 0.3199 0.0328 0.0828  1 Zr 2.06
F 0.1801 0.2629 0.7129  1 Zr 2.06
F 0.5500 0.4672 0.2871  1 Zr 2.06
F 0.0500 0.7629 0.0828  1 Zr 2.06
F 0.6801 0.9672 0.9172  1 Zr 2.06
F 0.8199 0.7371 0.2871  1 Zr 2.06
F 0.4500 0.5328 0.7129  1 Zr 2.06

Output
energy of formation = -4.17 eV per atom
space group = No. 72
crystal system = orthorhombic